The following is a PBE+U calculation of Ba2Mn3O8 after structural relaxation, from the Materials Project database.

abc: 3.8799 3.8799 12.4365
angles: 90.00 90.00 90.00
With the nearest neighbours (Å) after each atom.
Space group P4/mmm (No. 123)
Inequivalent atoms, fractional coordinates:
1 Ba 0.0000 0.0000 0.1692 (multiplicity 2)  12 O 2.75-2.96
2 Mn 0.5000 0.5000 0.0000 (multiplicity 1)  4 O 1.94
3 Mn 0.5000 0.5000 0.3315 (multiplicity 2)  5 O 1.88-1.95
4 O 0.0000 0.5000 0.0000 (multiplicity 2)  2 Mn 1.94
5 O 0.0000 0.5000 0.3488 (multiplicity 4)  2 Mn 1.95
6 O 0.5000 0.5000 0.1806 (multiplicity 2)  1 Mn 1.88

## Properties
Magnetic moment (μB/f.u.): 9.67
Energy of formation (kJ/mol of formula units): -2562
E (MP2020) (eV per atom): -7.497
Calculated total energy (eV/cell): -86.96

The following is a PBE+U calculation of BaMn2O3 after structural relaxation, from the Materials Project database.

abc: 3.6681 4.3869 11.1722
angles: 90.00 90.00 90.00
With the nearest neighbours (Å) after each atom.
Space group Immm (No. 71)
Inequivalent atoms, fractional coordinates:
1 Ba 0.0000 0.0000 0.0000 (multiplicity 2)  8 O 2.86-2.94
2 Mn 0.0000 0.0000 0.3114 (multiplicity 4)  5 O 2.11-2.20
3 O 0.0000 0.0000 0.5000 (multiplicity 2)  2 Mn 2.11
4 O 0.0000 0.5000 0.2943 (multiplicity 4)  4 Mn 2.18-2.20

## Properties
Energy of formation (kJ/mol of formula units): -1313
E (MP2020) (eV per atom): -8.115
Calculated total energy (eV/cell): -86.59